A geometry-optimized Ca2TiAlSi2O9F structure, computed with PBE-GGA.

POSCAR file:
```
Ca2TiAlSi2O9F
1.0
-0.030 -0.467 -5.425
-4.034 -5.369 2.276
-6.054 8.479 0.053
Ca Al O Ti F Si
4 2 18 2 2 4
direct
0.998 0.584 0.835 Ca
0.496 0.916 0.668 Ca
0.002 0.416 0.165 Ca
0.504 0.084 0.332 Ca
0.500 0.000 0.000 Al
0.500 0.500 0.000 Al
0.441 0.591 0.181 O
0.254 0.463 0.372 O
0.749 0.979 0.883 O
0.746 0.537 0.628 O
0.056 0.905 0.308 O
0.628 0.826 0.441 O
0.372 0.174 0.559 O
0.146 0.335 0.948 O
0.251 0.021 0.117 O
0.944 0.095 0.692 O
0.267 0.541 0.660 O
0.107 0.784 0.533 O
0.761 0.038 0.148 O
0.733 0.459 0.340 O
0.893 0.216 0.467 O
0.854 0.665 0.052 O
0.239 0.962 0.852 O
0.559 0.409 0.819 O
0.000 0.000 0.500 Ti
0.000 0.500 0.500 Ti
0.600 0.285 0.036 F
0.400 0.715 0.964 F
0.027 0.093 0.848 Si
0.476 0.410 0.665 Si
0.973 0.907 0.152 Si
0.524 0.590 0.335 Si
```

Calculated values
Magnetization: 0.002 μB/f.u.
Space group: No. 2
V: 11.5 Å³/atom
Final energy: -244.9 eV/cell
ΔE_f: -3.51 eV per atom

---

A geometry-optimized MgFe2Cu6SnS8 structure, computed with PBE-GGA.

POSCAR file:
```
MgFe2Cu6SnS8
1.0
-2.784 -3.889 -2.651
-3.132 -2.392 6.722
-6.024 4.881 -0.752
Cu S Fe Mg Sn
6 8 2 1 1
direct
0.522 0.748 0.244 Cu
0.045 0.504 0.050 Cu
0.500 0.251 0.251 Cu
0.478 0.244 0.749 Cu
0.500 0.738 0.738 Cu
0.954 0.051 0.504 Cu
0.738 0.997 0.749 S
0.273 0.270 0.000 S
0.727 0.000 0.270 S
0.253 0.737 0.484 S
0.257 0.246 0.497 S
0.748 0.484 0.737 S
0.743 0.497 0.246 S
0.262 0.749 0.997 S
0.000 0.484 0.484 Fe
0.500 0.491 0.491 Fe
0.000 0.738 0.737 Mg
0.000 0.022 0.022 Sn
```

Calculated values
Magnetization: 7.923 μB/f.u.
Space group: No. 1
V: 18.4 Å³/atom
Final energy: -86.0 eV/cell
ΔE_f: -0.54 eV per atom

---

A geometry-optimized RbAlH8N4 structure, computed with PBE-GGA.

POSCAR file:
```
RbAlH8N4
1.0
7.979 0.000 0.000
0.000 7.979 0.000
0.000 0.000 5.134
N H Al Rb
8 16 2 2
direct
0.316 0.472 0.227 N
0.684 0.528 0.227 N
0.816 0.972 0.773 N
0.528 0.316 0.773 N
0.184 0.028 0.773 N
0.472 0.684 0.773 N
0.972 0.184 0.227 N
0.028 0.816 0.227 N
0.027 0.286 0.141 H
0.830 0.040 0.604 H
0.527 0.786 0.859 H
0.330 0.540 0.396 H
0.473 0.214 0.859 H
0.540 0.670 0.604 H
0.170 0.960 0.604 H
0.286 0.973 0.859 H
0.670 0.460 0.396 H
0.960 0.830 0.396 H
0.214 0.527 0.141 H
0.460 0.330 0.604 H
0.973 0.714 0.141 H
0.786 0.473 0.141 H
0.040 0.170 0.396 H
0.714 0.027 0.859 H
0.000 0.000 0.000 Al
0.500 0.500 0.000 Al
0.000 0.500 0.624 Rb
0.500 0.000 0.376 Rb
```

Calculated values
Magnetization: 0.000 μB/f.u.
Space group: No. 85
V: 11.7 Å³/atom
Final energy: -142.5 eV/cell
ΔE_f: -0.53 eV per atom

---

A geometry-optimized Y6MnSi2S14 structure, computed with PBE-GGA.

POSCAR file:
```
Y6MnSi2S14
1.0
1.536 8.697 4.556
-8.752 -1.869 -4.320
-1.906 -2.181 4.805
Y S Si Mn
6 14 2 1
direct
0.356 0.123 0.250 Y
0.767 0.644 0.250 Y
0.877 0.233 0.250 Y
0.233 0.355 0.750 Y
0.645 0.878 0.750 Y
0.122 0.767 0.750 Y
0.915 0.162 0.730 S
0.247 0.085 0.730 S
0.589 0.108 0.985 S
0.520 0.411 0.985 S
0.667 0.333 0.461 S
0.108 0.520 0.486 S
0.480 0.589 0.486 S
0.892 0.480 0.985 S
0.838 0.753 0.730 S
0.333 0.667 0.962 S
0.753 0.916 0.245 S
0.164 0.247 0.245 S
0.411 0.892 0.486 S
0.084 0.836 0.245 S
0.667 0.333 0.833 Si
0.333 0.667 0.334 Si
0.000 0.000 0.488 Mn
```

Calculated values
Space group: No. 143
V: 20.9 Å³/atom
Final energy: -153.1 eV/cell
ΔE_f: -1.89 eV per atom

---

A geometry-optimized CaO structure, computed with PBE-GGA.

POSCAR file:
```
CaO
1.0
-4.939 -7.310 0.461
-7.616 -3.866 2.256
5.414 6.036 -3.507
O Ca
2 2
direct
0.182 0.182 0.000 O
0.818 0.818 0.000 O
0.320 0.320 0.000 Ca
0.680 0.680 0.000 Ca
```

Calculated values
Magnetization: 0.000 μB/f.u.
Space group: No. 139
V: 23.7 Å³/atom
Final energy: -24.9 eV/cell
ΔE_f: -3.10 eV per atom

---

A geometry-optimized TiAlAu structure, computed with PBE-GGA.

POSCAR file:
```
TiAlAu
1.0
-2.230 -3.863 0.000
-2.230 3.863 0.000
0.000 0.000 -5.768
Ti Au Al
2 2 2
direct
0.000 0.000 0.000 Ti
0.000 0.000 0.500 Ti
0.333 0.667 0.250 Au
0.667 0.333 0.750 Au
0.333 0.667 0.750 Al
0.667 0.333 0.250 Al
```

Calculated values
Space group: No. 194
V: 16.6 Å³/atom
Final energy: -32.8 eV/cell
ΔE_f: -0.50 eV per atom

---

Which of these has the lowest final energy? Ca2TiAlSi2O9F

---

Please write out number 5 again, unchanged.
A geometry-optimized CaO structure, computed with PBE-GGA.

POSCAR file:
```
CaO
1.0
-4.939 -7.310 0.461
-7.616 -3.866 2.256
5.414 6.036 -3.507
O Ca
2 2
direct
0.182 0.182 0.000 O
0.818 0.818 0.000 O
0.320 0.320 0.000 Ca
0.680 0.680 0.000 Ca
```

Calculated values
Magnetization: 0.000 μB/f.u.
Space group: No. 139
V: 23.7 Å³/atom
Final energy: -24.9 eV/cell
ΔE_f: -3.10 eV per atom

---

Among the records above, which one has the highest final energy? CaO

---

Look up the V of the second one. 18.4 Å³/atom